Entry 1:
CaMn4O8 | PBE+U | relaxed

Values from the calculation:
Energy of formation from the pure elements = -2116 meV/atom
Total energy = -7.1986 eV/atom

a = 5.8100 Å, b = 11.5551 Å, c = 9.4072 Å
α = 90.00°, β = 90.00°, γ = 90.00°
Space group Cmc2_1 (No. 36)
Symmetry-distinct sites (fractional):
Ca  0.0000  0.1330  0.0000 (multiplicity 4)
Mn  0.0000  0.1621  0.3191 (multiplicity 4)
Mn  0.0000  0.3462  0.8108 (multiplicity 4)
Mn  0.2482  0.3812  0.1010 (multiplicity 8)
O  0.0000  0.0562  0.4820 (multiplicity 4)
O  0.0000  0.1884  0.7057 (multiplicity 4)
O  0.0000  0.2904  0.1826 (multiplicity 4)
O  0.0000  0.4493  0.9825 (multiplicity 4)
O  0.2409  0.0816  0.2148 (multiplicity 8)
O  0.2464  0.2674  0.9161 (multiplicity 8)

Entry 2:
CaMn4O6 | PBE+U | relaxed

Values from the calculation:
Energy of formation from the pure elements = -2233 meV/atom
Total energy = -7.4643 eV/atom

a = 3.1611 Å, b = 15.6086 Å, c = 5.4035 Å
α = 90.00°, β = 106.92°, γ = 90.00°
Space group P2_1/m (No. 11)
Symmetry-distinct sites (fractional):
Ca  0.1619  0.2500  0.3236 (multiplicity 2)
Mn  0.0918  0.6354  0.1838 (multiplicity 4)
Mn  0.3630  0.5430  0.7259 (multiplicity 4)
O  0.0000  0.0000  0.0000 (multiplicity 2)
O  0.1785  0.7500  0.3570 (multiplicity 2)
O  0.2783  0.0736  0.5562 (multiplicity 4)
O  0.4482  0.6530  0.8968 (multiplicity 4)

Entry 3:
CaMn2O4 | PBE+U | relaxed

Values from the calculation:
Energy of formation from the pure elements = -2357 meV/atom
Total energy = -7.2193 eV/atom

a = 5.6892 Å, b = 5.7932 Å, c = 10.9529 Å
α = 90.00°, β = 92.08°, γ = 90.00°
Space group P2_1/c (No. 14)
Symmetry-distinct sites (fractional):
Ca  0.2316  0.0802  0.0945 (multiplicity 4)
Mn  0.1387  0.0452  0.3753 (multiplicity 4)
Mn  0.3655  0.5872  0.1503 (multiplicity 4)
O  0.1054  0.7169  0.0399 (multiplicity 4)
O  0.1189  0.1060  0.7114 (multiplicity 4)
O  0.3788  0.5954  0.7745 (multiplicity 4)
O  0.3966  0.2240  0.4468 (multiplicity 4)

Entry 4:
CaMn12O24 | PBE+U | relaxed

Values from the calculation:
Energy of formation from the pure elements = -1888 meV/atom
Total energy = -7.1367 eV/atom

a = 9.7498 Å, b = 5.8917 Å, c = 16.8946 Å
α = 90.00°, β = 124.52°, γ = 90.00°
Space group Pc (No. 7)
Symmetry-distinct sites (fractional):
Ca  0.0000  0.1224  0.0000 (multiplicity 2)
Mn  0.2030  0.3742  0.4214 (multiplicity 2)
Mn  0.2141  0.1254  0.9195 (multiplicity 2)
Mn  0.2538  0.3764  0.7490 (multiplicity 2)
Mn  0.2597  0.1274  0.2528 (multiplicity 2)
Mn  0.3907  0.1286  0.6115 (multiplicity 2)
Mn  0.3913  0.3790  0.1112 (multiplicity 2)
Mn  0.6468  0.1258  0.9152 (multiplicity 2)
Mn  0.6613  0.3758  0.4140 (multiplicity 2)
Mn  0.7864  0.1255  0.2724 (multiplicity 2)
Mn  0.7888  0.3749  0.7735 (multiplicity 2)
Mn  0.8374  0.1283  0.6047 (multiplicity 2)
Mn  0.8377  0.3770  0.1050 (multiplicity 2)
O  0.0474  0.1162  0.3791 (multiplicity 2)
O  0.0487  0.3674  0.8793 (multiplicity 2)
O  0.2223  0.3740  0.3132 (multiplicity 2)
O  0.2268  0.1246  0.8130 (multiplicity 2)
O  0.2299  0.3752  0.5432 (multiplicity 2)
O  0.2490  0.1255  0.0437 (multiplicity 2)
O  0.2854  0.3713  0.1855 (multiplicity 2)
O  0.2862  0.1212  0.6857 (multiplicity 2)
O  0.3682  0.1318  0.4848 (multiplicity 2)
O  0.3684  0.3828  0.9846 (multiplicity 2)
O  0.5047  0.1284  0.3540 (multiplicity 2)
O  0.5066  0.3787  0.8541 (multiplicity 2)
O  0.5404  0.3747  0.6717 (multiplicity 2)
O  0.5432  0.1252  0.1721 (multiplicity 2)
O  0.6753  0.1248  0.0398 (multiplicity 2)
O  0.6781  0.3764  0.5395 (multiplicity 2)
O  0.7558  0.3744  0.3363 (multiplicity 2)
O  0.7588  0.1245  0.8390 (multiplicity 2)
O  0.8129  0.1239  0.4832 (multiplicity 2)
O  0.8132  0.3730  0.9830 (multiplicity 2)
O  0.8194  0.1246  0.7113 (multiplicity 2)
O  0.8238  0.3740  0.2131 (multiplicity 2)
O  0.9925  0.3753  0.6513 (multiplicity 2)
O  0.9979  0.1245  0.1462 (multiplicity 2)

Entry 5:
CaMn4O8 | PBE+U | relaxed

Values from the calculation:
Energy of formation from the pure elements = -2082 meV/atom
Total energy = -7.1638 eV/atom

a = 13.9030 Å, b = 3.0747 Å, c = 9.4686 Å
α = 90.00°, β = 132.87°, γ = 90.00°
Space group Cm (No. 8)
Symmetry-distinct sites (fractional):
Ca  0.0000  0.0000  0.0000 (multiplicity 2)
Mn  0.0645  0.0000  0.3979 (multiplicity 2)
Mn  0.0785  0.5000  0.7369 (multiplicity 2)
Mn  0.2645  0.0000  0.1074 (multiplicity 2)
Mn  0.2726  0.5000  0.4488 (multiplicity 2)
O  0.0620  0.5000  0.5212 (multiplicity 2)
O  0.0735  0.5000  0.2509 (multiplicity 2)
O  0.1172  0.5000  0.9821 (multiplicity 2)
O  0.2062  0.0000  0.8548 (multiplicity 2)
O  0.2593  0.0000  0.5729 (multiplicity 2)
O  0.2678  0.0000  0.3141 (multiplicity 2)
O  0.3784  0.5000  0.1882 (multiplicity 2)
O  0.4591  0.5000  0.6529 (multiplicity 2)

Entry 6:
CaMn7O12 | PBE+U | relaxed

Values from the calculation:
Energy of formation from the pure elements = -2132 meV/atom
Total energy = -7.4119 eV/atom

a = 7.4955 Å, b = 7.4955 Å, c = 7.4955 Å
α = 90.00°, β = 90.00°, γ = 90.00°
Space group Im-3 (No. 204)
Symmetry-distinct sites (fractional):
Ca  0.0000  0.0000  0.0000 (multiplicity 2)
Mn  0.0000  0.0000  0.5000 (multiplicity 6)
Mn  0.2500  0.2500  0.2500 (multiplicity 8)
O  0.0000  0.1784  0.3086 (multiplicity 24)